Record 1
Density functional theory data (PBE-GGA) for an optimized crystal structure of K2TcCl6.

Output
Its space group is Fm-3m (225). The calculation puts the energy of formation at -1.737 eV/atom. The mass density is 2.5 Mg/m³.

Cell lengths 7.115, 7.115, 7.115 Å; angles 60.00, 60.00, 60.00 degrees
Fractional coordinates of all 9 atoms:
K 0.250 0.250 0.250
K 0.750 0.750 0.750
Tc 0.000 0.000 0.000
Cl 0.236 0.236 0.764
Cl 0.236 0.764 0.236
Cl 0.236 0.764 0.764
Cl 0.764 0.236 0.236
Cl 0.764 0.236 0.764
Cl 0.764 0.764 0.236


Record 2
Density functional theory data (PBE-GGA) for an optimized crystal structure of KTcCl3.

Output
Its space group is Cc (9). For the maximum piezoelectric response, the calculation gives 0.51 C/m². The calculation puts the energy of formation at -1.513 eV/atom. The mass density is 2.9 Mg/m³.

Cell lengths 8.330, 8.330, 9.060 Å; angles 93.63, 93.63, 118.29 degrees
Fractional coordinates of all 20 atoms:
K 0.166 0.834 0.500
K 0.225 0.890 0.997
K 0.834 0.166 0.000
K 0.890 0.225 0.497
Tc 0.399 0.495 0.813
Tc 0.495 0.399 0.313
Tc 0.575 0.674 0.672
Tc 0.674 0.575 0.172
Cl 0.120 0.519 0.783
Cl 0.207 0.234 0.161
Cl 0.234 0.207 0.661
Cl 0.381 0.588 0.436
Cl 0.488 0.692 0.047
Cl 0.519 0.120 0.283
Cl 0.543 0.948 0.708
Cl 0.588 0.381 0.936
Cl 0.692 0.488 0.547
Cl 0.844 0.868 0.316
Cl 0.868 0.844 0.816
Cl 0.948 0.543 0.208


Record 3
Density functional theory data (PBE-GGA) for an optimized crystal structure of K3Tc2Cl8.

Output
Its space group is P3_121 (152). The calculation puts the energy of formation at -1.665 eV/atom. The mass density is 2.4 Mg/m³.

Cell lengths 13.057, 13.057, 8.223 Å; angles 90.00, 90.00, 120.00 degrees
Fractional coordinates of all 39 atoms:
K 0.000 0.706 0.167
K 0.178 0.512 0.745
K 0.294 0.294 0.500
K 0.334 0.822 0.412
K 0.488 0.666 0.079
K 0.512 0.178 0.255
K 0.666 0.488 0.921
K 0.706 0.000 0.833
K 0.822 0.334 0.588
Tc 0.084 0.442 0.229
Tc 0.358 0.916 0.896
Tc 0.442 0.084 0.771
Tc 0.558 0.642 0.563
Tc 0.642 0.558 0.437
Tc 0.916 0.358 0.104
Cl 0.058 0.312 0.448
Cl 0.064 0.563 0.434
Cl 0.178 0.803 0.760
Cl 0.197 0.375 0.093
Cl 0.204 0.626 0.094
Cl 0.254 0.942 0.115
Cl 0.312 0.058 0.552
Cl 0.374 0.578 0.428
Cl 0.375 0.197 0.907
Cl 0.422 0.796 0.761
Cl 0.437 0.501 0.767
Cl 0.499 0.936 0.101
Cl 0.501 0.437 0.233
Cl 0.563 0.064 0.566
Cl 0.578 0.374 0.572
Cl 0.625 0.822 0.426
Cl 0.626 0.204 0.906
Cl 0.688 0.746 0.782
Cl 0.746 0.688 0.218
Cl 0.796 0.422 0.239
Cl 0.803 0.178 0.240
Cl 0.822 0.625 0.574
Cl 0.936 0.499 0.899
Cl 0.942 0.254 0.885


Record 4
Density functional theory data (PBE-GGA) for an optimized crystal structure of K2TiCl6.

Output
Its space group is Fm-3m (225). The calculation puts the energy of formation at -2.184 eV/atom. The mass density is 2.2 Mg/m³.

Cell lengths 7.090, 7.090, 7.090 Å; angles 60.00, 60.00, 60.00 degrees
Fractional coordinates of all 9 atoms:
K 0.250 0.250 0.250
K 0.750 0.750 0.750
Ti 0.000 0.000 0.000
Cl 0.235 0.235 0.765
Cl 0.235 0.765 0.235
Cl 0.235 0.765 0.765
Cl 0.765 0.235 0.235
Cl 0.765 0.235 0.765
Cl 0.765 0.765 0.235


Record 5
Density functional theory data (PBE-GGA) for an optimized crystal structure of K3TiCl6.

Output
Its space group is P2_1/c (14). The calculation puts the energy of formation at -2.051 eV/atom. The mass density is 1.9 Mg/m³.

Cell lengths 14.837, 6.614, 14.476 Å; angles 90.00, 112.04, 90.00 degrees
Fractional coordinates of all 40 atoms:
K 0.125 0.017 0.185
K 0.125 0.483 0.685
K 0.242 0.014 0.933
K 0.242 0.486 0.433
K 0.355 0.544 0.191
K 0.355 0.956 0.691
K 0.645 0.044 0.309
K 0.645 0.456 0.809
K 0.758 0.514 0.567
K 0.758 0.986 0.067
K 0.875 0.517 0.315
K 0.875 0.983 0.815
Ti 0.000 0.000 0.500
Ti 0.000 0.500 0.000
Ti 0.500 0.000 0.500
Ti 0.500 0.500 0.000
Cl 0.062 0.193 0.964
Cl 0.062 0.307 0.464
Cl 0.094 0.671 0.919
Cl 0.094 0.829 0.419
Cl 0.135 0.519 0.167
Cl 0.135 0.981 0.667
Cl 0.317 0.067 0.149
Cl 0.317 0.433 0.649
Cl 0.359 0.659 0.890
Cl 0.359 0.841 0.390
Cl 0.482 0.243 0.886
Cl 0.482 0.257 0.386
Cl 0.518 0.743 0.614
Cl 0.518 0.757 0.114
Cl 0.641 0.159 0.610
Cl 0.641 0.341 0.110
Cl 0.683 0.567 0.351
Cl 0.683 0.933 0.851
Cl 0.865 0.019 0.333
Cl 0.865 0.481 0.833
Cl 0.906 0.171 0.581
Cl 0.906 0.329 0.081
Cl 0.938 0.693 0.536
Cl 0.938 0.807 0.036


Record 6
Density functional theory data (PBE-GGA) for an optimized crystal structure of K3TiCl6.

Output
Its space group is P2_1/c (14). The calculation puts the energy of formation at -2.191 eV/atom. The mass density is 2.2 Mg/m³.

Cell lengths 12.731, 7.587, 12.354 Å; angles 90.00, 109.18, 90.00 degrees
Fractional coordinates of all 40 atoms:
K 0.099 0.029 0.361
K 0.099 0.471 0.861
K 0.315 0.563 0.264
K 0.315 0.937 0.764
K 0.321 0.067 0.114
K 0.321 0.433 0.614
K 0.679 0.567 0.386
K 0.679 0.933 0.886
K 0.685 0.063 0.236
K 0.685 0.437 0.736
K 0.901 0.529 0.139
K 0.901 0.971 0.639
Ti 0.000 0.000 0.000
Ti 0.000 0.500 0.500
Ti 0.500 0.000 0.500
Ti 0.500 0.500 0.000
Cl 0.099 0.228 0.594
Cl 0.099 0.272 0.094
Cl 0.115 0.509 0.379
Cl 0.115 0.991 0.879
Cl 0.129 0.681 0.644
Cl 0.129 0.819 0.144
Cl 0.354 0.206 0.397
Cl 0.354 0.294 0.897
Cl 0.354 0.703 0.006
Cl 0.354 0.797 0.506
Cl 0.499 0.631 0.818
Cl 0.499 0.869 0.318
Cl 0.501 0.131 0.682
Cl 0.501 0.369 0.182
Cl 0.646 0.203 0.494
Cl 0.646 0.297 0.994
Cl 0.646 0.706 0.103
Cl 0.646 0.794 0.603
Cl 0.871 0.181 0.856
Cl 0.871 0.319 0.356
Cl 0.885 0.009 0.121
Cl 0.885 0.491 0.621
Cl 0.901 0.728 0.906
Cl 0.901 0.772 0.406